Material: LuTe2
Method: DFT, GGA-PBE
State: optimized geometry Values from VASP.

Formation energy from the elements ... -1.299 eV/atom
Calculated density ... 8.406 Mg/m³

The structure in Quantum ESPRESSO input format:
```
&SYSTEM
  ibrav = 0, nat = 6, ntyp = 2
/
ATOMIC_SPECIES
Lu 174.97 Lu.upf
Te 127.60 Te.upf
CELL_PARAMETERS angstrom
-3.0020 2.5958 -1.9365
-2.9400 -1.0769 3.1140
2.6806 6.7228 4.8559
ATOMIC_POSITIONS angstrom
Lu -0.7440 1.2823 2.8722
Te -2.9710 0.7594 0.5887
Lu 0.4536 6.1998 2.5724
Te 0.2124 3.6808 4.6046
Te 0.0000 0.0000 0.0000
Te -0.5027 3.8014 0.8400
```